# 1
# HfCrAgS4 (PBE-GGA, relaxed)
data_HfCrAgS4
_chemical_formula_sum 'Hf4 Cr4 Ag4 S16'
_space_group_name_H-M_alt 'P m n 21'
_space_group_IT_number 31
_cell_length_a 3.595
_cell_length_b 11.345
_cell_length_c 13.195
_cell_angle_alpha 90.00
_cell_angle_beta 90.00
_cell_angle_gamma 90.00
loop_
_space_group_symop_operation_xyz
'x,y,z'
'-x+1/2,-y,z+1/2'
'-x,y,z'
'x+1/2,-y,z+1/2'
loop_
_atom_site_label
_atom_site_fract_x
_atom_site_fract_y
_atom_site_fract_z
Hf1 0.000 0.178 0.000
Hf2 0.000 0.203 0.526
Cr1 0.000 0.658 0.317
Cr2 0.000 0.688 0.802
Ag1 0.000 0.506 0.602
Ag2 0.000 0.997 0.745
S1 0.000 0.169 0.335
S2 0.000 0.295 0.702
S3 0.000 0.381 0.934
S4 0.000 0.450 0.262
S5 0.000 0.651 0.980
S6 0.000 0.773 0.626
S7 0.000 0.866 0.369
S8 0.000 0.953 0.065
# - Final energy: -6.42 eV per atom
# - Formation energy: -109.5 kJ/mol of atoms
# - MP2020-corrected energy: -187.72 eV for the cell shown
# - E above lowest polymorph: 0.098 eV/atom

# 2
# CsBe2BO3F2 (PBE-GGA, relaxed)
data_CsBe2BO3F2
_chemical_formula_sum 'Cs3 Be6 B3 O9 F6'
_space_group_name_H-M_alt 'R 3 2'
_space_group_IT_number 155
_space_group_name_Hall 'R 3 2"'
_cell_length_a 4.4825
_cell_length_b 4.4825
_cell_length_c 22.1155
_cell_angle_alpha 90.00
_cell_angle_beta 90.00
_cell_angle_gamma 120.00
loop_
_atom_site_label
_atom_site_fract_x
_atom_site_fract_y
_atom_site_fract_z
Cs1 0.0000 0.0000 0.0000
Be1 0.0000 0.0000 0.1919
B1 0.0000 0.0000 0.5000
O1 0.0000 0.6913 0.5000
F1 0.0000 0.0000 0.2624
# - Final energy: -6.58 eV per atom
# - Formation energy: -305.6 kJ/mol of atoms
# - Largest piezoelectric modulus: 0.0 C/m²
# - MP2020-corrected energy: -186.69 eV for the cell shown

Question: Which of these has the lowest MP2020-corrected energy?
Answer: HfCrAgS4

Question: Number 2 is which compound?
Answer: CsBe2BO3F2

Question: Which formula does entry 1 have?
Answer: HfCrAgS4